! Na2MnP2O7 | the Materials Project database | PBE with a Hubbard U | optimized geometry; values from VASP
! - Calculated formation energy: -2.601 eV/atom
! - M_tot: 0.0 μB per formula unit
! - Relative energy among the computed polymorphs: 2 meV/atom
&SYSTEM
  ibrav = 0, nat = 48, ntyp = 4
/
ATOMIC_SPECIES
P 30.97 P.upf
O 16.00 O.upf
Mn 54.94 Mn.upf
Na 22.99 Na.upf
ATOMIC_POSITIONS crystal
P 0.019 0.611 0.886
O 0.439 0.168 0.339
O 0.561 0.832 0.661
O 0.980 0.331 0.211
O 0.729 0.026 0.089
O 0.706 0.421 0.059
O 0.913 0.179 0.363
O 0.794 0.579 0.441
O 0.480 0.331 0.711
O 0.020 0.669 0.789
P 0.981 0.389 0.114
O 0.838 0.760 0.969
Mn 0.607 0.363 0.881
O 0.939 0.168 0.839
O 0.891 0.481 0.860
Na 0.587 0.270 0.206
O 0.162 0.240 0.031
O 0.294 0.579 0.941
O 0.609 0.519 0.640
O 0.391 0.481 0.360
Na 0.782 0.966 0.874
O 0.771 0.974 0.411
P 0.699 0.135 0.403
P 0.801 0.865 0.097
O 0.087 0.821 0.637
O 0.520 0.669 0.289
Na 0.718 0.034 0.626
Mn 0.893 0.637 0.619
O 0.587 0.821 0.137
P 0.481 0.389 0.614
O 0.271 0.974 0.911
O 0.061 0.832 0.161
O 0.109 0.519 0.140
Na 0.913 0.730 0.294
Na 0.282 0.966 0.374
Mn 0.393 0.637 0.118
P 0.519 0.611 0.386
O 0.206 0.421 0.559
Na 0.087 0.270 0.706
O 0.229 0.026 0.589
P 0.301 0.865 0.597
Mn 0.107 0.363 0.382
Na 0.218 0.034 0.126
Na 0.413 0.730 0.794
O 0.662 0.240 0.531
O 0.413 0.179 0.863
O 0.338 0.760 0.469
P 0.199 0.135 0.903
CELL_PARAMETERS angstrom
-5.218 1.298 0.341
-4.852 -7.766 -2.842
2.313 -0.925 12.690